Material: AcTb3
Method: DFT, meta-GGA r2SCAN
State: relaxed

Structure (CIF):
```
data_AcTb3
_cell_length_a 5.273
_cell_length_b 5.273
_cell_length_c 10.125
_cell_angle_alpha 90.00
_cell_angle_beta 90.00
_cell_angle_gamma 90.00
_space_group_name_H-M_alt 'I 4/m m m'
_space_group_IT_number 139
_space_group_name_Hall '-I 4 2'
loop_
_atom_site_label
_atom_site_type_symbol
_atom_site_fract_x
_atom_site_fract_y
_atom_site_fract_z
_atom_site_occupancy
Ac1 Ac 0.000 0.000 0.000 1
Tb1 Tb 0.000 0.000 0.500 1
Tb2 Tb 0.000 0.500 0.250 1
```

***

Material: CsK3
Method: DFT, meta-GGA r2SCAN
State: relaxed

Structure (CIF):
```
data_CsK3
_cell_length_a 11.094
_cell_length_b 11.094
_cell_length_c 11.094
_cell_angle_alpha 90.00
_cell_angle_beta 90.00
_cell_angle_gamma 90.00
_space_group_name_H-M_alt 'F m -3 m'
_space_group_IT_number 225
_space_group_name_Hall '-F 4 2 3'
loop_
_atom_site_label
_atom_site_type_symbol
_atom_site_fract_x
_atom_site_fract_y
_atom_site_fract_z
_atom_site_occupancy
Cs1 Cs 0.000 0.000 0.000 1
K1 K 0.000 0.000 0.500 1
K2 K 0.250 0.250 0.250 1
```

***

Material: Sc2Cr4Si5
Method: DFT, meta-GGA r2SCAN
State: relaxed

Structure (CIF):
```
data_Sc2Cr4Si5
_cell_length_a 7.553
_cell_length_b 16.049
_cell_length_c 4.886
_cell_angle_alpha 90.00
_cell_angle_beta 90.00
_cell_angle_gamma 90.00
_space_group_name_H-M_alt 'I b a m'
_space_group_IT_number 72
_space_group_name_Hall '-I 2 2c'
loop_
_atom_site_label
_atom_site_type_symbol
_atom_site_fract_x
_atom_site_fract_y
_atom_site_fract_z
_atom_site_occupancy
Sc1 Sc 0.119 0.143 0.000 1
Cr1 Cr 0.000 0.309 0.250 1
Cr2 Cr 0.246 0.439 0.000 1
Si1 Si 0.000 0.000 0.250 1
Si2 Si 0.077 0.435 0.500 1
Si3 Si 0.207 0.212 0.500 1
```

***

Material: Ce3Sb5Pd6
Method: DFT, meta-GGA r2SCAN
State: relaxed

Structure (CIF):
```
data_Ce3Sb5Pd6
_cell_length_a 4.466
_cell_length_b 13.552
_cell_length_c 10.164
_cell_angle_alpha 90.00
_cell_angle_beta 90.00
_cell_angle_gamma 90.00
_space_group_name_H-M_alt 'P m m n'
_space_group_IT_number 59
loop_
_space_group_symop_operation_xyz
'x,y,z'
'-x,-y,-z'
'-x+1/2,-y+1/2,z'
'x+1/2,y+1/2,-z'
'x+1/2,-y,-z'
'-x+1/2,y,z'
'-x,y+1/2,-z'
'x,-y+1/2,z'
loop_
_atom_site_label
_atom_site_type_symbol
_atom_site_fract_x
_atom_site_fract_y
_atom_site_fract_z
_atom_site_occupancy
Ce1 Ce 0.250 0.078 0.247 1
Ce2 Ce 0.250 0.750 0.242 1
Sb1 Sb 0.250 0.085 0.864 1
Sb2 Sb 0.250 0.622 0.521 1
Sb3 Sb 0.250 0.750 0.832 1
Pd1 Pd 0.250 0.068 0.607 1
Pd2 Pd 0.250 0.250 0.014 1
Pd3 Pd 0.250 0.250 0.483 1
Pd4 Pd 0.250 0.591 0.992 1
```

***

Material: PmNd3
Method: DFT, meta-GGA r2SCAN
State: relaxed

Structure (CIF):
```
data_PmNd3
_cell_length_a 5.200
_cell_length_b 5.200
_cell_length_c 5.200
_cell_angle_alpha 90.00
_cell_angle_beta 90.00
_cell_angle_gamma 90.00
_space_group_name_H-M_alt 'P m -3 m'
_space_group_IT_number 221
_space_group_name_Hall '-P 4 2 3'
loop_
_atom_site_label
_atom_site_type_symbol
_atom_site_fract_x
_atom_site_fract_y
_atom_site_fract_z
_atom_site_occupancy
Pm1 Pm 0.000 0.000 0.000 1
Nd1 Nd 0.000 0.500 0.500 1
```

Energy relative to the lowest polymorph listed for this composition   0.0047 eV/atom

***

Material: Nb4Pd
Method: DFT, meta-GGA r2SCAN
State: relaxed

Structure (CIF):
```
data_Nb4Pd
_cell_length_a 3.427
_cell_length_b 4.456
_cell_length_c 22.985
_cell_angle_alpha 90.00
_cell_angle_beta 90.00
_cell_angle_gamma 90.00
_space_group_name_H-M_alt 'F m m m'
_space_group_IT_number 69
_space_group_name_Hall '-F 2 2'
loop_
_atom_site_label
_atom_site_type_symbol
_atom_site_fract_x
_atom_site_fract_y
_atom_site_fract_z
_atom_site_occupancy
Nb1 Nb 0.000 0.000 0.095 1
Nb2 Nb 0.000 0.000 0.303 1
Pd1 Pd 0.000 0.000 0.500 1
```

***

Material: Y5Mo2O12
Method: DFT, meta-GGA r2SCAN
State: relaxed

Structure (CIF):
```
data_Y5Mo2O12
_cell_length_a 12.255
_cell_length_b 5.713
_cell_length_c 7.513
_cell_angle_alpha 90.00
_cell_angle_beta 108.06
_cell_angle_gamma 90.00
_space_group_name_H-M_alt 'C 1 2/m 1'
_space_group_IT_number 12
loop_
_space_group_symop_operation_xyz
'x,y,z'
'-x,-y,-z'
'-x,y,-z'
'x,-y,z'
'x+1/2,y+1/2,z'
'-x+1/2,-y+1/2,-z'
'-x+1/2,y+1/2,-z'
'x+1/2,-y+1/2,z'
loop_
_atom_site_label
_atom_site_type_symbol
_atom_site_fract_x
_atom_site_fract_y
_atom_site_fract_z
_atom_site_occupancy
Y1 Y 0.000 0.000 0.000 1
Y2 Y 0.185 0.500 0.322 1
Y3 Y 0.194 0.500 0.860 1
Mo1 Mo 0.000 0.217 0.500 1
O1 O 0.001 0.000 0.295 1
O2 O 0.001 0.500 0.682 1
O3 O 0.155 0.252 0.075 1
O4 O 0.163 0.255 0.583 1
```

***

Material: Cs2HgCl4
Method: DFT, meta-GGA r2SCAN
State: relaxed

Structure (CIF):
```
data_Cs2HgCl4
_cell_length_a 9.948
_cell_length_b 7.573
_cell_length_c 13.672
_cell_angle_alpha 90.00
_cell_angle_beta 90.00
_cell_angle_gamma 90.00
_space_group_name_H-M_alt 'P n m a'
_space_group_IT_number 62
loop_
_space_group_symop_operation_xyz
'x,y,z'
'-x,-y,-z'
'-x+1/2,-y,z+1/2'
'x+1/2,y,-z+1/2'
'x+1/2,-y+1/2,-z+1/2'
'-x+1/2,y+1/2,z+1/2'
'-x,y+1/2,-z'
'x,-y+1/2,z'
loop_
_atom_site_label
_atom_site_type_symbol
_atom_site_fract_x
_atom_site_fract_y
_atom_site_fract_z
_atom_site_occupancy
Cs1 Cs 0.016 0.250 0.177 1
Cs2 Cs 0.115 0.750 0.425 1
Hg1 Hg 0.212 0.750 0.076 1
Cl1 Cl 0.035 0.250 0.914 1
Cl2 Cl 0.175 0.514 0.652 1
Cl3 Cl 0.179 0.250 0.407 1
```

***

Material: USnPt
Method: DFT, meta-GGA r2SCAN
State: relaxed

Structure (CIF):
```
data_USnPt
_cell_length_a 6.662
_cell_length_b 6.662
_cell_length_c 6.662
_cell_angle_alpha 90.00
_cell_angle_beta 90.00
_cell_angle_gamma 90.00
_space_group_name_H-M_alt 'F -4 3 m'
_space_group_IT_number 216
_space_group_name_Hall 'F -4 2 3'
loop_
_atom_site_label
_atom_site_type_symbol
_atom_site_fract_x
_atom_site_fract_y
_atom_site_fract_z
_atom_site_occupancy
U1 U 0.000 0.000 0.000 1
Sn1 Sn 0.000 0.000 0.500 1
Pt1 Pt 0.250 0.250 0.750 1
```

***

Number 1: total energy -324.07 eV per cell, energy relative to the elements 0.0709 eV/atom. Number 2: total energy -172.36 eV per cell, energy relative to the elements 0.0181 eV/atom. Number 3: total energy -527.57 eV per cell, energy relative to the elements -0.4484 eV/atom. Number 4: total energy -744.15 eV per cell, energy relative to the elements -0.9472 eV/atom. Number 5: total energy -117.70 eV per cell, energy relative to the elements 0.0240 eV/atom. Number 6: total energy -489.90 eV per cell, energy relative to the elements -0.1156 eV/atom. Number 7: total energy -579.12 eV per cell, energy relative to the elements -3.3777 eV/atom. Number 8: total energy -541.09 eV per cell, energy relative to the elements -1.5826 eV/atom. Number 9: total energy -633.28 eV per cell, energy relative to the elements -0.7148 eV/atom.